DFT (GGA-PBE) results for a geometry-optimized Er5CoBi2 structure.

Unit cell a=7.8548 b=8.8896 c=12.4047 alpha=90.00 beta=90.00 gamma=90.00
Last column: nearest neighbours and their distance in Å.
Positions (direct):
Er 0.1555 0.2500 0.7977  1 Co 2.68
Er 0.1693 0.5365 0.0682  2 Co 2.78-2.80
Er 0.3445 0.2500 0.2977  1 Co 2.68
Er 0.6693 0.4635 0.4318  2 Co 2.78-2.80
Er 0.3307 0.9635 0.5682  2 Co 2.78-2.80
Er 0.1693 0.9635 0.0682  2 Co 2.78-2.80
Er 0.6302 0.2500 0.6810  1 Co 2.66
Er 0.3307 0.5365 0.5682  2 Co 2.78-2.80
Er 0.8307 0.0365 0.9318  2 Co 2.78-2.80
Er 0.1302 0.7500 0.8190  1 Co 2.66
Er 0.6693 0.0365 0.4318  2 Co 2.78-2.80
Er 0.8698 0.2500 0.1810  1 Co 2.66
Er 0.6555 0.7500 0.7023  1 Co 2.68
Er 0.8445 0.7500 0.2023  1 Co 2.68
Er 0.5599 0.7500 0.9959  1 Co 2.94, 4 Bi 3.14-3.18
Er 0.0599 0.2500 0.5041  1 Co 2.94, 4 Bi 3.14-3.18
Er 0.4401 0.2500 0.0041  1 Co 2.94, 4 Bi 3.14-3.18
Er 0.3698 0.7500 0.3190  1 Co 2.66
Er 0.9401 0.7500 0.4959  1 Co 2.94, 4 Bi 3.14-3.18
Er 0.8307 0.4635 0.9318  2 Co 2.78-2.80
Bi 0.0621 0.9970 0.3269  8 Er 3.14-3.37
Bi 0.0621 0.5030 0.3269  8 Er 3.14-3.37
Bi 0.5621 0.0030 0.1731  8 Er 3.14-3.37
Bi 0.9379 0.4970 0.6731  8 Er 3.14-3.37
Bi 0.4379 0.5030 0.8269  8 Er 3.14-3.37
Bi 0.9379 0.0030 0.6731  8 Er 3.14-3.37
Bi 0.4379 0.9970 0.8269  8 Er 3.14-3.37
Bi 0.5621 0.4970 0.1731  8 Er 3.14-3.37
Co 0.9344 0.7500 0.9943  7 Er 2.66-2.94
Co 0.4344 0.2500 0.5057  7 Er 2.66-2.94
Co 0.0656 0.2500 0.0057  7 Er 2.66-2.94
Co 0.5656 0.7500 0.4943  7 Er 2.66-2.94

Computed properties:
Space group = Pnma

---

DFT (GGA-PBE) results for a geometry-optimized Er6CoBi2 structure.

Unit cell a=8.3282 b=8.3282 c=4.0733 alpha=90.00 beta=90.00 gamma=120.00
Last column: nearest neighbours and their distance in Å.
Positions (direct):
Co 0.0000 0.0000 0.0000  6 Er 2.79
Er 0.6094 0.0000 0.0000  1 Co 3.25, 4 Bi 3.28, 4 Er 3.49
Er 0.2297 0.0000 0.5000  2 Co 2.79
Er 0.0000 0.2297 0.5000  2 Co 2.79
Er 0.0000 0.6094 0.0000  1 Co 3.25, 4 Bi 3.28, 4 Er 3.49
Er 0.3906 0.3906 0.0000  1 Co 3.25, 4 Bi 3.28, 4 Er 3.49
Er 0.7703 0.7703 0.5000  2 Co 2.79
Bi 0.6667 0.3333 0.5000  9 Er 3.28-3.29
Bi 0.3333 0.6667 0.5000  9 Er 3.28-3.29

Computed properties:
Space group = P-62m

---

DFT (GGA-PBE) results for a geometry-optimized Tb24Fe3CoBi8 structure.

Unit cell a=4.1841 b=8.4030 c=29.1805 alpha=89.95 beta=90.00 gamma=90.00
Last column: nearest neighbours and their distance in Å.
Positions (direct):
Bi 0.0000 0.4911 0.5835  9 Tb 3.30-3.35
Bi 0.0000 0.9911 0.3335  9 Tb 3.31-3.35
Bi 0.0000 0.9877 0.1676  9 Tb 3.31-3.35
Bi 0.0000 0.4927 0.0836  9 Tb 3.30-3.35
Bi 0.0000 0.9901 0.8336  9 Tb 3.31-3.34
Bi 0.0000 0.9883 0.6675  9 Tb 3.30-3.36
Bi 0.0000 0.4877 0.4173  9 Tb 3.31-3.35
Bi 0.0000 0.4878 0.9173  9 Tb 3.32-3.36
Tb 0.0000 0.7141 0.7512  2 Fe 2.88
Tb 0.5000 0.5978 0.5004  1 Fe 3.21, 4 Bi 3.33, 4 Tb 3.55-3.56
Tb 0.5000 0.0980 0.2505  1 Fe 3.20, 4 Bi 3.32-3.33, 4 Tb 3.55
Tb 0.5000 0.0975 0.7503  1 Fe 3.21, 4 Bi 3.33, 4 Tb 3.55-3.56
Tb 0.0000 0.3744 0.8083  2 Fe 2.86
Tb 0.5000 0.6871 0.1529  1 Fe 3.30, 4 Bi 3.31-3.34, 4 Tb 3.55-3.56
Tb 0.5000 0.1862 0.9023  1 Co 3.26, 4 Bi 3.32-3.34, 4 Tb 3.56-3.58
Tb 0.0000 0.8727 0.9424  2 Co 2.79
Tb 0.0000 0.8744 0.5583  2 Fe 2.87
Tb 0.5000 0.6896 0.8504  4 Bi 3.32-3.33, 1 Fe 3.45, 4 Tb 3.58-3.59
Tb 0.5000 0.6907 0.3508  4 Bi 3.32, 1 Fe 3.47, 6 Tb 3.59-3.71
Tb 0.0000 0.2145 0.5010  2 Fe 2.87
Tb 0.5000 0.1904 0.6006  4 Bi 3.32-3.33, 1 Fe 3.47, 6 Tb 3.59-3.71
Tb 0.0000 0.2151 0.0014  2 Co 2.87
Tb 0.5000 0.1930 0.1020  4 Bi 3.32, 1 Co 3.54, 6 Tb 3.61-3.67
Tb 0.0000 0.3747 0.3082  2 Fe 2.85
Tb 0.0000 0.8757 0.0582  2 Co 2.88
Tb 0.0000 0.7136 0.2511  2 Fe 2.88
Tb 0.0000 0.3722 0.1916  2 Fe 2.82
Tb 0.5000 0.1871 0.4029  1 Fe 3.28, 4 Bi 3.31-3.35, 4 Tb 3.55-3.56
Tb 0.5000 0.5975 0.0000  1 Co 3.22, 4 Bi 3.32-3.33, 4 Tb 3.54-3.57
Tb 0.0000 0.8717 0.4417  2 Fe 2.82
Tb 0.0000 0.3716 0.6918  2 Fe 2.82
Tb 0.5000 0.6871 0.6527  1 Fe 3.30, 4 Bi 3.31-3.34, 4 Tb 3.56
Co 0.5000 0.9810 0.9972  6 Tb 2.79-2.88
Fe 0.5000 0.4786 0.2488  6 Tb 2.82-2.88
Fe 0.5000 0.4795 0.7488  6 Tb 2.82-2.88
Fe 0.5000 0.9801 0.4984  6 Tb 2.82-2.87

Computed properties:
Space group = Pm
Spin magnetization = 1.74 Bohr magnetons per cell

---

| no. | ΔH_f (0 K) (kcal/mol of atoms) | raw total energy (eV for the cell shown) |
| --- | --- | --- |
| 1 | -12.38 | -168.1 |
| 2 | -10.50 | -46.4 |
| 3 | -9.80 | -190.2 |